This record from the Materials Project describes crystalline Sr2CaCu2Bi2O9 at its relaxed geometry. The functional is GGA-PBE.

Values from the calculation:
**Total magnetic moment**: 0.002 μB per formula unit
**ΔH_f (0 K)**: -1888 meV per atom
**Density**: 6.3 Mg/m³
**Energy with MP2020 corrections**: -96.109 eV/cell

a = 3.6360 Å, b = 4.1759 Å, c = 15.9856 Å
α = 82.50°, β = 83.47°, γ = 90.00°
Sites, in units of the cell vectors:
Sr 0.8845 0.8845 0.7309
Sr 0.1081 0.1081 0.2838
Ca 0.9968 0.9968 0.5064
Cu 0.4412 0.4412 0.6175
Cu 0.5541 0.5541 0.3919
Bi 0.3023 0.3023 0.8953
Bi 0.6920 0.6920 0.1160
O 0.9531 0.4531 0.5938
O 0.5503 0.0503 0.3994
O 0.0447 0.5447 0.4107
O 0.4454 0.9454 0.6092
O 0.3715 0.3715 0.7569
O 0.6228 0.6228 0.2545
O 0.3229 0.8229 0.8543
O 0.2291 0.7291 0.0418
O 0.6784 0.1784 0.1432

---

This record from the Materials Project describes crystalline SrCaDyBiO6 at its relaxed geometry. The functional is GGA-PBE.

Values from the calculation:
**Total magnetic moment**: 0.000 μB per formula unit
**ΔH_f (0 K)**: -2685 meV per atom
**Density**: 6.3 Mg/m³
**Energy with MP2020 corrections**: -68.730 eV/cell

a = 6.0542 Å, b = 6.0542 Å, c = 6.0542 Å
α = 60.00°, β = 60.00°, γ = 60.00°
Sites, in units of the cell vectors:
Sr 0.2500 0.2500 0.2500
Ca 0.7500 0.7500 0.7500
Dy 0.5000 0.5000 0.5000
Bi 0.0000 0.0000 0.0000
O 0.7555 0.2445 0.2445
O 0.2445 0.7555 0.7555
O 0.7555 0.2445 0.7555
O 0.2445 0.7555 0.2445
O 0.7555 0.7555 0.2445
O 0.2445 0.2445 0.7555